Record 1
Na10Al8Si5S7O48: relaxed, PBE.

Geometry as POSCAR:
```
Na10Al8Si5S7O48
1.0
8.641 0.000 0.000
0.052 14.906 0.000
0.148 0.582 21.656
Na Al Si S O
30 24 15 21 144
Direct
0.000 0.000 0.000
0.000 0.660 0.657
0.120 0.498 0.503
0.123 0.163 0.156
0.135 0.855 0.494
0.170 0.850 0.150
0.173 0.517 0.812
0.176 0.185 0.481
0.292 0.329 0.404
0.315 0.007 0.073
0.319 0.682 0.741
0.325 0.000 0.578
0.332 0.668 0.240
0.340 0.334 0.907
0.447 0.185 0.981
0.449 0.517 0.313
0.500 0.160 0.659
0.620 0.998 0.504
0.634 0.357 0.492
0.674 0.018 0.814
0.676 0.684 0.481
0.766 0.497 0.077
0.791 0.826 0.405
0.801 0.186 0.242
0.818 0.180 0.742
0.821 0.835 0.906
0.826 0.500 0.577
0.946 0.018 0.314
0.950 0.683 0.982
0.985 0.357 0.997
0.289 0.687 0.888
0.294 0.021 0.224
0.300 0.346 0.555
0.301 0.677 0.594
0.302 0.018 0.930
0.302 0.348 0.261
0.310 0.343 0.761
0.316 0.677 0.095
0.322 0.022 0.429
0.322 0.693 0.390
0.323 0.350 0.053
0.331 0.014 0.724
0.780 0.518 0.221
0.795 0.517 0.927
0.799 0.194 0.891
0.799 0.846 0.555
0.801 0.178 0.595
0.801 0.844 0.261
0.813 0.844 0.761
0.818 0.181 0.095
0.823 0.196 0.391
0.823 0.522 0.429
0.825 0.850 0.060
0.827 0.515 0.722
0.024 0.682 0.493
0.097 0.182 0.993
0.159 0.164 0.325
0.170 0.824 0.995
0.174 0.490 0.660
0.446 0.490 0.159
0.453 0.825 0.493
0.460 0.161 0.826
0.525 0.182 0.493
0.660 0.661 0.326
0.667 0.329 0.993
0.674 0.990 0.660
0.948 0.995 0.162
0.951 0.661 0.825
0.954 0.325 0.493
0.018 0.352 0.159
0.031 0.012 0.824
0.091 0.513 0.323
0.101 0.851 0.660
0.161 0.201 0.660
0.170 0.868 0.324
0.173 0.537 0.990
0.449 0.867 0.828
0.453 0.536 0.492
0.458 0.202 0.159
0.526 0.515 0.824
0.527 0.847 0.158
0.590 0.012 0.323
0.592 0.681 0.990
0.601 0.352 0.660
0.662 0.701 0.660
0.667 0.031 0.993
0.670 0.369 0.326
0.948 0.698 0.160
0.950 0.368 0.825
0.953 0.036 0.491
0.001 0.530 0.987
0.004 0.503 0.383
0.015 0.860 0.601
0.103 0.360 0.099
0.116 0.001 0.883
0.119 0.693 0.155
0.120 0.658 0.556
0.122 0.359 0.821
0.124 0.024 0.486
0.126 0.333 0.211
0.136 0.016 0.771
0.140 0.340 0.501
0.142 0.701 0.435
0.143 0.667 0.830
0.144 0.004 0.165
0.184 0.100 0.265
0.186 0.754 0.939
0.191 0.594 0.325
0.194 0.933 0.667
0.195 0.432 0.322
0.197 0.255 0.714
0.202 0.770 0.659
0.203 0.922 0.379
0.205 0.595 0.043
0.206 0.272 0.001
0.213 0.095 0.986
0.213 0.432 0.600
0.230 0.109 0.667
0.230 0.911 0.266
0.231 0.112 0.386
0.234 0.445 0.997
0.237 0.441 0.723
0.239 0.239 0.603
0.239 0.778 0.059
0.240 0.574 0.931
0.241 0.924 0.984
0.242 0.261 0.315
0.243 0.778 0.327
0.250 0.593 0.656
0.364 0.777 0.551
0.370 0.924 0.482
0.371 0.592 0.150
0.378 0.260 0.816
0.379 0.237 0.102
0.379 0.446 0.224
0.382 0.574 0.435
0.384 0.775 0.834
0.384 0.905 0.770
0.385 0.444 0.499
0.390 0.110 0.887
0.392 0.109 0.168
0.403 0.427 0.103
0.410 0.095 0.486
0.414 0.272 0.501
0.415 0.923 0.881
0.420 0.437 0.822
0.423 0.256 0.213
0.423 0.768 0.156
0.426 0.592 0.546
0.430 0.930 0.161
0.431 0.598 0.828
0.436 0.097 0.765
0.447 0.760 0.434
0.469 0.667 0.333
0.481 0.003 0.664
0.481 0.338 0.000
0.485 0.016 0.270
0.494 0.334 0.713
0.494 0.696 0.653
0.496 0.689 0.935
0.498 0.021 0.988
0.498 0.360 0.322
0.500 0.668 0.048
0.503 0.002 0.383
0.516 0.361 0.601
0.618 0.501 0.882
0.620 0.158 0.556
0.620 0.835 0.215
0.621 0.860 0.823
0.623 0.523 0.488
0.626 0.522 0.769
0.627 0.195 0.151
0.627 0.853 0.102
0.635 0.500 0.165
0.639 0.840 0.501
0.644 0.200 0.435
0.653 0.167 0.832
0.679 0.265 0.933
0.685 0.594 0.270
0.686 0.094 0.323
0.693 0.762 0.994
0.694 0.088 0.047
0.694 0.434 0.668
0.694 0.932 0.321
0.697 0.601 0.988
0.697 0.755 0.714
0.700 0.422 0.382
0.703 0.270 0.659
0.713 0.932 0.599
0.730 0.609 0.666
0.731 0.614 0.389
0.734 0.412 0.269
0.736 0.941 0.724
0.738 0.940 0.002
0.740 0.068 0.935
0.740 0.739 0.603
0.742 0.279 0.329
0.743 0.759 0.316
0.750 0.092 0.655
0.753 0.428 0.983
0.757 0.279 0.051
0.864 0.276 0.551
0.871 0.095 0.156
0.871 0.424 0.483
0.872 0.760 0.816
0.880 0.278 0.829
0.881 0.612 0.888
0.882 0.074 0.434
0.882 0.737 0.100
0.883 0.608 0.168
0.884 0.941 0.223
0.886 0.412 0.769
0.887 0.944 0.499
0.911 0.594 0.487
0.913 0.771 0.502
0.914 0.758 0.211
0.916 0.271 0.159
0.920 0.422 0.881
0.926 0.434 0.167
0.926 0.932 0.822
0.927 0.092 0.545
0.927 0.597 0.766
0.928 0.931 0.102
0.933 0.094 0.824
0.950 0.260 0.434
0.967 0.168 0.331
0.976 0.835 0.001
0.978 0.197 0.935
0.981 0.504 0.664
0.989 0.518 0.270
0.993 0.196 0.653
0.994 0.833 0.713
0.998 0.859 0.322
0.999 0.158 0.056
```

- Crystal system: triclinic


Record 2
Sc3Ni4Ge4: relaxed, PBE.

Geometry as POSCAR:
```
Sc3Ni4Ge4
1.0
-1.959 3.318 6.478
1.959 -3.318 6.478
1.959 3.318 -6.478
Sc Ni Ge
3 4 4
Direct
0.000 0.000 0.000
0.374 0.874 0.500
0.626 0.126 0.500
0.019 0.323 0.697
0.374 0.677 0.697
0.626 0.323 0.303
0.981 0.677 0.303
0.219 0.219 0.000
0.304 0.500 0.804
0.696 0.500 0.196
0.781 0.781 0.000
```

- Crystal system: orthorhombic


| no. | formation enthalpy at 0 K (eV/atom) |
| --- | --- |
| 1 | -2.587 |
| 2 | -0.739 |